# TcPt, optimized geometry, DFT PBE-GGA
data_TcPt
_chemical_formula_sum 'Tc1 Pt1'
_cell_length_a 2.7827
_cell_length_b 2.7827
_cell_length_c 4.4859
_cell_angle_alpha 90.00
_cell_angle_beta 90.00
_cell_angle_gamma 120.00
_symmetry_space_group_name_H-M 'P -6 m 2'
_symmetry_Int_Tables_number 187
_symmetry_space_group_name_Hall 'P -6 2'
loop_
_atom_site_label
_atom_site_fract_x
_atom_site_fract_y
_atom_site_fract_z
Tc1 0.0000 0.0000 0.0000
Pt1 0.3333 0.6667 0.5000
# Energy of formation ... -0.057 eV/atom


# HoNp3, optimized geometry, DFT PBE-GGA
data_HoNp3
_chemical_formula_sum 'Ho1 Np3'
_cell_length_a 4.6387
_cell_length_b 4.6387
_cell_length_c 4.6387
_cell_angle_alpha 90.00
_cell_angle_beta 90.00
_cell_angle_gamma 90.00
_symmetry_space_group_name_H-M 'P m -3 m'
_symmetry_Int_Tables_number 221
_symmetry_space_group_name_Hall '-P 4 2 3'
loop_
_atom_site_label
_atom_site_fract_x
_atom_site_fract_y
_atom_site_fract_z
Ho1 0.0000 0.0000 0.0000
Np1 0.0000 0.5000 0.5000
# Energy of formation ... 0.689 eV/atom


Record-wise size of the total moment values, in μB per formula unit: 0.00 12.21
Record-wise relative energy among the computed polymorphs values, in eV/atom: 0.000 0.031